Record 1
Compound: Te2MoW3Se4S2
Source: Materials Project
Functional: PBE
Structure: optimized geometry

Lattice parameters (Å, degrees): 3.3434 3.3434 38.0527 90.00 90.00 120.00
Space group P3m1 (No. 156)
One atom of each set of equivalent atoms:
Te 0.0000 0.0000 0.0000 x1
Te 0.0000 0.0000 0.1002 x1
Mo 0.3333 0.6667 0.6744 x1
W 0.0000 0.0000 0.4865 x1
W 0.0000 0.0000 0.8622 x1
W 0.3333 0.6667 0.0501 x1
Se 0.0000 0.0000 0.6306 x1
Se 0.0000 0.0000 0.7181 x1
Se 0.3333 0.6667 0.4425 x1
Se 0.3333 0.6667 0.5304 x1
S 0.3333 0.6667 0.8222 x1
S 0.3333 0.6667 0.9022 x1

=====

Record 2
Compound: TeMoWSe2S
Source: Materials Project
Functional: PBE
Structure: optimized geometry

Lattice parameters (Å, degrees): 3.3457 3.3457 38.1039 90.00 90.00 120.00
Space group P3m1 (No. 156)
One atom of each set of equivalent atoms:
Te 0.0000 0.0000 0.0000 x1
Te 0.0000 0.0000 0.1002 x1
Mo 0.0000 0.0000 0.2380 x1
Mo 0.0000 0.0000 0.8621 x1
W 0.3333 0.6667 0.0501 x1
W 0.3333 0.6667 0.4258 x1
Se 0.0000 0.0000 0.3818 x1
Se 0.0000 0.0000 0.4698 x1
Se 0.3333 0.6667 0.8184 x1
Se 0.3333 0.6667 0.9059 x1
S 0.3333 0.6667 0.1981 x1
S 0.3333 0.6667 0.2777 x1

=====

Record 3
Compound: Te2MoW3Se2S4
Source: Materials Project
Functional: PBE
Structure: optimized geometry

Lattice parameters (Å, degrees): 3.3088 3.3088 40.4186 90.00 90.00 120.00
Space group P3m1 (No. 156)
One atom of each set of equivalent atoms:
Te 0.0000 0.0000 0.0000 x1
Te 0.0000 0.0000 0.0952 x1
Mo 0.0000 0.0000 0.8604 x1
W 0.0000 0.0000 0.2396 x1
W 0.3333 0.6667 0.0476 x1
W 0.3333 0.6667 0.4254 x1
Se 0.3333 0.6667 0.1979 x1
Se 0.3333 0.6667 0.2813 x1
S 0.0000 0.0000 0.3875 x1
S 0.0000 0.0000 0.4633 x1
S 0.3333 0.6667 0.8227 x1
S 0.3333 0.6667 0.8982 x1

=====

Record 4
Compound: Te2Mo3WSe2S4
Source: Materials Project
Functional: PBE
Structure: optimized geometry

Lattice parameters (Å, degrees): 3.3085 3.3085 37.5749 90.00 90.00 120.00
Space group P3m1 (No. 156)
One atom of each set of equivalent atoms:
Te 0.0000 0.0000 0.0000 x1
Te 0.0000 0.0000 0.1018 x1
Mo 0.0000 0.0000 0.2388 x1
Mo 0.6667 0.3333 0.0509 x1
Mo 0.6667 0.3333 0.4266 x1
W 0.0000 0.0000 0.6145 x1
Se 0.6667 0.3333 0.5696 x1
Se 0.6667 0.3333 0.6594 x1
S 0.0000 0.0000 0.3860 x1
S 0.0000 0.0000 0.4673 x1
S 0.6667 0.3333 0.1982 x1
S 0.6667 0.3333 0.2794 x1

=====

Record 5
Compound: Te2MoW3Se4S2
Source: Materials Project
Functional: PBE
Structure: optimized geometry

Lattice parameters (Å, degrees): 3.3404 3.3404 38.0746 90.00 90.00 120.00
Space group P3m1 (No. 156)
One atom of each set of equivalent atoms:
Te 0.0000 0.0000 0.0000 x1
Te 0.0000 0.0000 0.0996 x1
Mo 0.6667 0.3333 0.0498 x1
W 0.0000 0.0000 0.2377 x1
W 0.0000 0.0000 0.6135 x1
W 0.6667 0.3333 0.4256 x1
Se 0.0000 0.0000 0.3816 x1
Se 0.0000 0.0000 0.4696 x1
Se 0.6667 0.3333 0.5695 x1
Se 0.6667 0.3333 0.6574 x1
S 0.6667 0.3333 0.1977 x1
S 0.6667 0.3333 0.2777 x1

=====

Record 6
Compound: Te2MoWSeS
Source: Materials Project
Functional: PBE
Structure: optimized geometry

Lattice parameters (Å, degrees): 3.4012 3.4012 38.6972 90.00 90.00 120.00
Space group P3m1 (No. 156)
One atom of each set of equivalent atoms:
Te 0.0000 0.0000 0.0000 x1
Te 0.0000 0.0000 0.0972 x1
Te 0.3333 0.6667 0.4364 x1
Te 0.3333 0.6667 0.5336 x1
Mo 0.0000 0.0000 0.8607 x1
Mo 0.3333 0.6667 0.6729 x1
W 0.0000 0.0000 0.4850 x1
W 0.3333 0.6667 0.0486 x1
Se 0.3333 0.6667 0.8182 x1
Se 0.3333 0.6667 0.9032 x1
S 0.0000 0.0000 0.6341 x1
S 0.0000 0.0000 0.7117 x1

=====

Record 7
Compound: TeMoWSe2S
Source: Materials Project
Functional: PBE
Structure: optimized geometry

Lattice parameters (Å, degrees): 3.3440 3.3440 38.0501 90.00 90.00 120.00
Space group P3m1 (No. 156)
One atom of each set of equivalent atoms:
Te 0.0000 0.0000 0.0000 x1
Te 0.0000 0.0000 0.1002 x1
Mo 0.0000 0.0000 0.8622 x1
Mo 0.3333 0.6667 0.6744 x1
W 0.0000 0.0000 0.4865 x1
W 0.3333 0.6667 0.0501 x1
Se 0.0000 0.0000 0.6306 x1
Se 0.0000 0.0000 0.7181 x1
Se 0.3333 0.6667 0.8184 x1
Se 0.3333 0.6667 0.9059 x1
S 0.3333 0.6667 0.4464 x1
S 0.3333 0.6667 0.5265 x1

=====

Record 8
Compound: TeMoWSe2S
Source: Materials Project
Functional: PBE
Structure: optimized geometry

Lattice parameters (Å, degrees): 3.3409 3.3409 38.0719 90.00 90.00 120.00
Space group P3m1 (No. 156)
One atom of each set of equivalent atoms:
Te 0.0000 0.0000 0.0000 x1
Te 0.0000 0.0000 0.0996 x1
Mo 0.6667 0.3333 0.0498 x1
Mo 0.6667 0.3333 0.6740 x1
W 0.0000 0.0000 0.2377 x1
W 0.0000 0.0000 0.8619 x1
Se 0.0000 0.0000 0.6302 x1
Se 0.0000 0.0000 0.7178 x1
Se 0.6667 0.3333 0.8179 x1
Se 0.6667 0.3333 0.9059 x1
S 0.6667 0.3333 0.1976 x1
S 0.6667 0.3333 0.2777 x1

=====

no.,energy (eV per atom),ΔE_f (eV/f.u.)
1,-7.01,-6.89
2,-6.85,-3.52
3,-7.16,-8.34
4,-6.87,-9.08
5,-7.03,-7.14
6,-6.65,-2.71
7,-6.86,-3.61
8,-6.88,-3.74